1.
Compound: Ca2B5O13
Source: Materials Project
Functional: PBE
Structure: optimized geometry

Values from the calculation:
MP2020-corrected energy   -587.1 eV for the cell shown
VASP energy   -6.892 eV/atom
Volume   940.1 Å³/cell

abc: 7.0508 11.6495 12.4370
angles: 66.97 90.00 90.00
Last column: nearest neighbours and their distance in Å.
Element x y z (fractional)
Ca 0.2338 0.5093 0.9179  7 O 2.37-2.63
Ca 0.7338 0.4907 0.5821  7 O 2.37-2.63
Ca 0.7662 0.4907 0.0821  7 O 2.37-2.63
Ca 0.2662 0.5093 0.4179  7 O 2.37-2.63
Ca 0.2514 0.1870 0.3793  7 O 2.37-2.53
Ca 0.7514 0.8130 0.1207  7 O 2.37-2.53
Ca 0.7486 0.8130 0.6207  7 O 2.37-2.53
Ca 0.2486 0.1870 0.8793  7 O 2.37-2.53
B 0.7567 0.2472 0.3607  4 O 1.44-1.47
B 0.2567 0.7528 0.1393  4 O 1.44-1.47
B 0.2433 0.7528 0.6393  4 O 1.44-1.47
B 0.7433 0.2472 0.8607  4 O 1.44-1.47
B 0.7362 0.4830 0.8342  4 O 1.44-1.51
B 0.2362 0.5170 0.6658  4 O 1.44-1.51
B 0.2638 0.5170 0.1658  4 O 1.44-1.51
B 0.7638 0.4830 0.3342  4 O 1.44-1.51
B 0.9622 0.3160 0.4859  4 O 1.47-1.49
B 0.4622 0.6840 0.0141  4 O 1.47-1.49
B 0.0378 0.6840 0.5141  4 O 1.47-1.49
B 0.5378 0.3160 0.9859  4 O 1.47-1.49
B 0.2809 0.1972 0.1316  4 O 1.44-1.48
B 0.7809 0.8028 0.3684  4 O 1.44-1.48
B 0.7191 0.8028 0.8684  4 O 1.44-1.48
B 0.2191 0.1972 0.6316  4 O 1.44-1.48
B 0.8842 0.2033 0.6957  3 O 1.37-1.40
B 0.3842 0.7967 0.8043  3 O 1.37-1.40
B 0.1158 0.7967 0.3043  3 O 1.37-1.40
B 0.6158 0.2033 0.1957  3 O 1.37-1.40
O 0.2482 0.8247 0.2139  2 B 1.40-1.47
O 0.7482 0.1753 0.2861  2 B 1.40-1.47
O 0.7518 0.1753 0.7861  2 B 1.40-1.47
O 0.2518 0.8247 0.7139  2 B 1.40-1.47
O 0.5843 0.1956 0.4256  1 B 1.45
O 0.0843 0.8044 0.0744  1 B 1.45
O 0.4157 0.8044 0.5744  1 B 1.45
O 0.9157 0.1956 0.9256  1 B 1.45
O 0.9304 0.2301 0.4259  2 B 1.44-1.48
O 0.4304 0.7699 0.0741  2 B 1.44-1.48
O 0.0696 0.7699 0.5741  2 B 1.44-1.48
O 0.5696 0.2301 0.9259  2 B 1.44-1.48
O 0.7813 0.3805 0.7923  2 B 1.47-1.51
O 0.2813 0.6195 0.7077  2 B 1.47-1.51
O 0.2187 0.6195 0.2077  2 B 1.47-1.51
O 0.7187 0.3805 0.2923  2 B 1.47-1.51
O 0.0980 0.4931 0.1099  1 B 1.44
O 0.5980 0.5069 0.3901  1 B 1.44
O 0.9020 0.5069 0.8901  1 B 1.44
O 0.4020 0.4931 0.6099  1 B 1.44
O 0.7868 0.5969 0.2332  1 B 1.44
O 0.2868 0.4031 0.2668  1 B 1.44
O 0.2132 0.4031 0.7668  1 B 1.44
O 0.7132 0.5969 0.7332  1 B 1.44
O 0.9324 0.4479 0.4102  2 B 1.47
O 0.4324 0.5521 0.0898  2 B 1.47
O 0.0676 0.5521 0.5898  2 B 1.47
O 0.5676 0.4479 0.9102  2 B 1.47
O 0.8326 0.2886 0.5881  2 B 1.37-1.49
O 0.3326 0.7114 0.9119  2 B 1.37-1.49
O 0.1674 0.7114 0.4119  2 B 1.37-1.49
O 0.6674 0.2886 0.0881  2 B 1.37-1.49
O 0.3364 0.3016 0.0232  2 B 1.47-1.48
O 0.8364 0.6984 0.4768  2 B 1.47-1.48
O 0.6636 0.6984 0.9768  2 B 1.47-1.48
O 0.1636 0.3016 0.5232  2 B 1.47-1.48
O 0.1082 0.2171 0.1831  1 B 1.44
O 0.6082 0.7829 0.3169  1 B 1.44
O 0.8918 0.7829 0.8169  1 B 1.44
O 0.3918 0.2171 0.6831  1 B 1.44
O 0.2054 0.0995 0.0988  1 B 1.45
O 0.7054 0.9005 0.4012  1 B 1.45
O 0.7946 0.9005 0.9012  1 B 1.45
O 0.2946 0.0995 0.5988  1 B 1.45
O 0.4342 0.1585 0.2199  2 B 1.37-1.48
O 0.9342 0.8415 0.2801  2 B 1.37-1.48
O 0.5658 0.8415 0.7801  2 B 1.37-1.48
O 0.0658 0.1585 0.7199  2 B 1.37-1.48
O 0.1631 0.9766 0.3908  1 Ca 2.48, 1 O 2.67, 1 B 2.72
O 0.6631 0.0234 0.1092  1 Ca 2.48, 1 O 2.67, 1 B 2.72
O 0.8369 0.0234 0.6092  1 Ca 2.48, 1 O 2.67, 1 B 2.72
O 0.3369 0.9766 0.8908  1 Ca 2.48, 1 O 2.67, 1 B 2.72

=====

2.
Compound: CsMg14BiO16
Source: Materials Project
Functional: PBE
Structure: optimized geometry

Values from the calculation:
MP2020-corrected energy   -186.4 eV for the cell shown
VASP energy   -5.480 eV/atom
Relative energy among the computed polymorphs   34 meV/atom
Volume   371.4 Å³/cell

abc: 8.8597 9.1825 4.5652
angles: 90.00 90.00 90.00
Last column: nearest neighbours and their distance in Å.
Element x y z (fractional)
Cs 0.0000 0.0000 0.0000  6 O 2.28-2.55
Mg 0.5000 0.0000 0.0000  2 O 1.88
Mg 0.5000 0.5000 0.0000  4 O 2.04-2.23
Mg 0.0000 0.2419 0.5000  6 O 2.22-2.37
Mg 0.0000 0.7581 0.5000  6 O 2.22-2.37
Mg 0.5000 0.2485 0.5000  6 O 2.20-2.31
Mg 0.5000 0.7515 0.5000  6 O 2.20-2.31
Mg 0.2639 0.0000 0.5000  6 O 2.09-2.34
Mg 0.2657 0.5000 0.5000  5 O 2.08-2.29
Mg 0.7361 0.0000 0.5000  6 O 2.09-2.34
Mg 0.7343 0.5000 0.5000  5 O 2.08-2.29
Mg 0.2641 0.2438 0.0000  4 O 2.09-2.29
Mg 0.2641 0.7562 0.0000  4 O 2.09-2.29
Mg 0.7359 0.2438 0.0000  4 O 2.09-2.29
Mg 0.7359 0.7562 0.0000  4 O 2.09-2.29
Bi 0.0000 0.5000 0.0000  6 O 2.16-2.39
O 0.2880 0.0000 0.0000  1 Mg 1.88
O 0.2700 0.5000 0.0000  1 Mg 2.04
O 0.7120 0.0000 0.0000  1 Mg 1.88
O 0.7300 0.5000 0.0000  1 Mg 2.04
O 0.2512 0.2506 0.5000  6 Mg 2.20-2.30
O 0.2512 0.7494 0.5000  6 Mg 2.20-2.30
O 0.7488 0.2506 0.5000  6 Mg 2.20-2.30
O 0.7488 0.7494 0.5000  6 Mg 2.20-2.30
O 0.0000 0.0000 0.5000  4 Mg 2.22-2.34, 2 Cs 2.28
O 0.0000 0.5000 0.5000  2 Bi 2.28, 4 Mg 2.35-2.37
O 0.5000 0.0000 0.5000  6 Mg 2.09-2.28
O 0.5000 0.5000 0.5000  6 Mg 2.08-2.31
O 0.0000 0.2648 0.0000  1 Bi 2.16, 4 Mg 2.29-2.35
O 0.0000 0.7352 0.0000  1 Bi 2.16, 4 Mg 2.29-2.35
O 0.5000 0.2575 0.0000  5 Mg 2.09-2.28
O 0.5000 0.7425 0.0000  5 Mg 2.09-2.28

=====

3.
Compound: TlGaCl4
Source: Materials Project
Functional: PBE
Structure: optimized geometry

Values from the calculation:
MP2020-corrected energy   -88.7 eV for the cell shown
VASP energy   -3.287 eV/atom
Volume   769.9 Å³/cell

abc: 7.2462 9.6446 11.0171
angles: 90.00 90.00 90.00
Last column: nearest neighbours and their distance in Å.
Element x y z (fractional)
Tl 0.7500 0.3087 0.1885  6 Cl 3.40-3.47
Tl 0.7500 0.1913 0.6885  6 Cl 3.40-3.47
Tl 0.2500 0.8087 0.3115  6 Cl 3.40-3.47
Tl 0.2500 0.6913 0.8115  6 Cl 3.40-3.47
Ga 0.7500 0.8139 0.0653  4 Cl 2.19-2.21
Ga 0.7500 0.6861 0.5653  4 Cl 2.19-2.21
Ga 0.2500 0.3139 0.4347  4 Cl 2.19-2.21
Ga 0.2500 0.1861 0.9347  4 Cl 2.19-2.21
Cl 0.9974 0.6794 0.0741  1 Ga 2.21
Cl 0.2500 0.0723 0.1068  1 Ga 2.19
Cl 0.0026 0.1794 0.4259  1 Ga 2.21
Cl 0.7500 0.5723 0.3932  1 Ga 2.19
Cl 0.7500 0.9517 0.2241  1 Ga 2.20
Cl 0.5026 0.8206 0.5741  1 Ga 2.21
Cl 0.4974 0.3206 0.9259  1 Ga 2.21
Cl 0.7500 0.5483 0.7241  1 Ga 2.20
Cl 0.7500 0.9277 0.8932  1 Ga 2.19
Cl 0.9974 0.8206 0.5741  1 Ga 2.21
Cl 0.4974 0.1794 0.4259  1 Ga 2.21
Cl 0.2500 0.4277 0.6068  1 Ga 2.19
Cl 0.0026 0.3206 0.9259  1 Ga 2.21
Cl 0.2500 0.4517 0.2759  1 Ga 2.20
Cl 0.2500 0.0483 0.7759  1 Ga 2.20
Cl 0.5026 0.6794 0.0741  1 Ga 2.21

=====

4.
Compound: Na3Ga2P3O12
Source: Materials Project
Functional: PBE
Structure: optimized geometry

Values from the calculation:
MP2020-corrected energy   -821.0 eV for the cell shown
VASP energy   -6.430 eV/atom
Relative energy among the computed polymorphs   2 meV/atom
Volume   1445.0 Å³/cell

abc: 8.7282 8.7282 21.9014
angles: 89.98 90.02 120.00
Last column: nearest neighbours and their distance in Å.
Element x y z (fractional)
Na 0.0002 0.9999 0.5000  6 O 2.49-2.51
Na 0.0001 0.9998 0.0000  6 O 2.49-2.51
Na 0.6530 0.3257 0.8333  6 O 2.45-2.56
Na 0.6743 0.3470 0.3333  6 O 2.45-2.56
Na 0.3336 0.6666 0.1667  6 O 2.50-2.51
Na 0.3334 0.6664 0.6667  6 O 2.50-2.51
Na 0.6339 0.9985 0.2499  5 O 2.35-2.63
Na 0.3668 0.3657 0.2499  6 O 2.35-2.59
Na 0.6343 0.6332 0.7499  6 O 2.35-2.59
Na 0.0015 0.3661 0.7499  5 O 2.35-2.63
Na 0.0315 0.6997 0.5833  6 O 2.35-2.61
Na 0.6653 0.9668 0.5832  5 O 2.35-2.60
Na 0.3003 0.9685 0.0833  6 O 2.35-2.61
Na 0.0332 0.3347 0.0832  5 O 2.35-2.60
Na 0.9667 0.6654 0.9171  5 O 2.35-2.57
Na 0.6990 0.0311 0.9166  5 O 2.35-2.62
Na 0.9689 0.3010 0.4166  5 O 2.35-2.62
Na 0.3346 0.0333 0.4171  5 O 2.35-2.57
Ga 0.9939 0.9917 0.3505  6 O 1.89-2.09
Ga 0.0083 0.0061 0.8505  6 O 1.89-2.09
Ga 0.0075 0.0065 0.6495  6 O 1.90-2.09
Ga 0.9935 0.9925 0.1495  6 O 1.90-2.09
Ga 0.6590 0.3276 0.6838  6 O 1.91-2.10
Ga 0.6724 0.3410 0.1838  6 O 1.91-2.10
Ga 0.6605 0.3345 0.9829  6 O 1.91-2.10
Ga 0.6655 0.3395 0.4829  6 O 1.91-2.10
Ga 0.3393 0.6662 0.0171  6 O 1.91-2.09
Ga 0.3338 0.6607 0.5171  6 O 1.91-2.09
Ga 0.3285 0.6652 0.3162  6 O 1.93-2.08
Ga 0.3348 0.6715 0.8162  6 O 1.93-2.08
P 0.2892 0.9965 0.2500  4 O 1.54-1.57
P 0.7110 0.7078 0.2502  4 O 1.53-1.57
P 0.9999 0.2934 0.2499  4 O 1.55-1.56
P 0.2922 0.2890 0.7502  4 O 1.53-1.57
P 0.0035 0.7108 0.7500  4 O 1.54-1.57
P 0.7066 0.0001 0.7499  4 O 1.55-1.56
P 0.9599 0.3333 0.5834  4 O 1.55-1.56
P 0.3742 0.0440 0.5826  4 O 1.54-1.57
P 0.6634 0.6229 0.5840  4 O 1.54-1.57
P 0.9560 0.6258 0.0826  4 O 1.54-1.57
P 0.6667 0.0401 0.0834  4 O 1.55-1.56
P 0.3771 0.3366 0.0840  4 O 1.54-1.57
P 0.6225 0.6634 0.9159  4 O 1.54-1.57
P 0.0440 0.3738 0.9168  4 O 1.54-1.57
P 0.3336 0.9599 0.9172  4 O 1.55-1.56
P 0.6262 0.9560 0.4168  4 O 1.54-1.57
P 0.3366 0.3775 0.4159  4 O 1.54-1.57
P 0.0401 0.6664 0.4172  4 O 1.55-1.56
O 0.2110 0.0376 0.3072  1 P 1.55
O 0.8249 0.7895 0.3071  1 P 1.53
O 0.9622 0.1749 0.3073  1 P 1.56
O 0.2105 0.1751 0.8071  1 P 1.53
O 0.9624 0.7890 0.8072  1 P 1.55
O 0.8251 0.0378 0.8073  1 P 1.56
O 0.7875 0.9619 0.6926  1 P 1.56
O 0.1708 0.2115 0.6938  1 P 1.54
O 0.0330 0.8223 0.6919  1 P 1.54
O 0.7885 0.8292 0.1938  1 P 1.54
O 0.0381 0.2125 0.1926  1 P 1.56
O 0.1777 0.9670 0.1919  1 P 1.54
O 0.8791 0.3716 0.6408  1 P 1.56
O 0.4969 0.1238 0.6384  1 P 1.54
O 0.6331 0.5123 0.6424  1 P 1.54
O 0.8762 0.5031 0.1384  1 P 1.54
O 0.6284 0.1209 0.1407  1 P 1.56
O 0.4877 0.3669 0.1424  1 P 1.54
O 0.4569 0.2936 0.0282  1 P 1.54
O 0.8454 0.5455 0.0242  1 P 1.54
O 0.7050 0.1592 0.0260  1 P 1.56
O 0.4545 0.1546 0.5242  1 P 1.54
O 0.7064 0.5431 0.5282  1 P 1.54
O 0.8408 0.2950 0.5260  1 P 1.56
O 0.5430 0.7064 0.9718  1 P 1.54
O 0.1556 0.4561 0.9748  1 P 1.54
O 0.2943 0.8419 0.9750  1 P 1.56
O 0.5439 0.8444 0.4748  1 P 1.54
O 0.2936 0.4570 0.4718  1 P 1.54
O 0.1581 0.7057 0.4750  1 P 1.56
O 0.1229 0.6268 0.3614  1 P 1.55
O 0.5073 0.8777 0.3595  1 P 1.55
O 0.3676 0.4885 0.3576  1 P 1.54
O 0.1223 0.4927 0.8595  1 P 1.55
O 0.3732 0.8771 0.8614  1 P 1.55
O 0.5115 0.6324 0.8576  1 P 1.54
O 0.0290 0.8370 0.4104  1 P 1.55
O 0.8142 0.9821 0.4107  1 P 1.55
O 0.1671 0.1898 0.4103  1 P 1.57
O 0.0179 0.1858 0.9107  1 P 1.55
O 0.1630 0.9710 0.9104  1 P 1.55
O 0.8102 0.8329 0.9103  1 P 1.57
O 0.9712 0.1628 0.5898  1 P 1.55
O 0.1866 0.0186 0.5892  1 P 1.55
O 0.8328 0.8106 0.5896  1 P 1.57
O 0.9814 0.8134 0.0892  1 P 1.55
O 0.8372 0.0288 0.0898  1 P 1.55
O 0.1894 0.1672 0.0896  1 P 1.57
O 0.6953 0.1707 0.7434  1 P 1.55
O 0.4803 0.3149 0.7438  1 P 1.55
O 0.8342 0.5236 0.7442  1 P 1.57
O 0.6851 0.5197 0.2438  1 P 1.55
O 0.8293 0.3047 0.2434  1 P 1.55
O 0.4764 0.1658 0.2442  1 P 1.57
O 0.6478 0.5011 0.9225  1 P 1.55
O 0.8568 0.3560 0.9225  1 P 1.57
O 0.5041 0.1423 0.9235  1 P 1.55
O 0.6440 0.1432 0.4225  1 P 1.57
O 0.4989 0.3522 0.4225  1 P 1.55
O 0.8577 0.4959 0.4235  1 P 1.55
O 0.3521 0.4990 0.0773  1 P 1.55
O 0.1436 0.6442 0.0772  1 P 1.57
O 0.4962 0.8582 0.0769  1 P 1.55
O 0.3558 0.8564 0.5772  1 P 1.57
O 0.5010 0.6479 0.5773  1 P 1.55
O 0.1418 0.5038 0.5769  1 P 1.55
O 0.3147 0.8342 0.2563  1 P 1.55
O 0.5234 0.6897 0.2561  1 P 1.57
O 0.1702 0.4756 0.2562  1 P 1.55
O 0.3103 0.4766 0.7561  1 P 1.57
O 0.1658 0.6853 0.7563  1 P 1.55
O 0.5244 0.8298 0.7562  1 P 1.55

=====

5.
Compound: Te2PdPb2Cl2O6
Source: Materials Project
Functional: PBE
Structure: optimized geometry

Values from the calculation:
MP2020-corrected energy   -139.6 eV for the cell shown
VASP energy   -5.051 eV/atom
Volume   509.9 Å³/cell

abc: 5.5544 8.3176 13.3047
angles: 56.05 90.00 90.00
Last column: nearest neighbours and their distance in Å.
Element x y z (fractional)
Te 0.0141 0.7783 0.9914  3 O 1.90-1.93
Te 0.5141 0.2217 0.5086  3 O 1.90-1.93
Te 0.9859 0.2217 0.0086  3 O 1.90-1.93
Te 0.4859 0.7783 0.4914  3 O 1.90-1.93
Pd 0.5000 0.5000 0.0000  2 O 2.03
Pd 0.0000 0.5000 0.5000  2 O 2.03
Pb 0.5406 0.1520 0.8029  4 O 2.38-2.65
Pb 0.0406 0.8480 0.6971  4 O 2.38-2.65
Pb 0.4594 0.8480 0.1971  4 O 2.38-2.65
Pb 0.9594 0.1520 0.3029  4 O 2.38-2.65
Cl 0.0794 0.4538 0.6853  1 Pd 2.32
Cl 0.5794 0.5462 0.8147  1 Pd 2.32
Cl 0.9206 0.5462 0.3147  1 Pd 2.32
Cl 0.4206 0.4538 0.1853  1 Pd 2.32
O 0.8555 0.9324 0.8384  1 Te 1.91
O 0.3555 0.0676 0.6616  1 Te 1.91
O 0.1445 0.0676 0.1616  1 Te 1.91
O 0.6445 0.9324 0.3384  1 Te 1.91
O 0.2042 0.6698 0.9219  1 Te 1.93, 1 Pd 2.03
O 0.7042 0.3302 0.5781  1 Te 1.93, 1 Pd 2.03
O 0.7958 0.3302 0.0781  1 Te 1.93, 1 Pd 2.03
O 0.2958 0.6698 0.4219  1 Te 1.93, 1 Pd 2.03
O 0.2481 0.9564 0.9779  1 Te 1.90
O 0.7481 0.0436 0.5221  1 Te 1.90
O 0.7519 0.0436 0.0221  1 Te 1.90
O 0.2519 0.9564 0.4779  1 Te 1.90

=====

6.
Compound: Cr4FeNiS8
Source: Materials Project
Functional: PBE
Structure: optimized geometry

Values from the calculation:
MP2020-corrected energy   -94.9 eV for the cell shown
VASP energy   -6.494 eV/atom
Volume   235.6 Å³/cell

abc: 6.9322 6.9322 6.9322
angles: 60.00 60.00 60.00
Last column: nearest neighbours and their distance in Å.
Element x y z (fractional)
Cr 0.6146 0.1285 0.1285  6 S 2.37-2.42
Cr 0.1285 0.6146 0.1285  6 S 2.37-2.42
Cr 0.1285 0.1285 0.6146  6 S 2.37-2.42
Cr 0.1285 0.1285 0.1285  6 S 2.37-2.42
Fe 0.7500 0.7500 0.7500  4 S 2.25
Ni 0.5000 0.5000 0.5000  4 S 2.20
S 0.3521 0.8826 0.8826  1 Fe 2.25, 3 Cr 2.42
S 0.8826 0.3521 0.8826  1 Fe 2.25, 3 Cr 2.42
S 0.8826 0.8826 0.3521  1 Fe 2.25, 3 Cr 2.42
S 0.8826 0.8826 0.8826  1 Fe 2.25, 3 Cr 2.42
S 0.8885 0.3705 0.3705  1 Ni 2.20, 3 Cr 2.37
S 0.3705 0.8885 0.3705  1 Ni 2.20, 3 Cr 2.37
S 0.3705 0.3705 0.8885  1 Ni 2.20, 3 Cr 2.37
S 0.3705 0.3705 0.3705  1 Ni 2.20, 3 Cr 2.37

=====

7.
Compound: Kr
Source: Materials Project
Functional: PBE
Structure: optimized geometry

Values from the calculation:
VASP energy   -0.056 eV/atom
Relative energy among the computed polymorphs   1 meV/atom
Volume   196.5 Å³/cell

abc: 11.4053 11.4053 11.4053
angles: 22.86 22.86 22.86
Last column: nearest neighbours and their distance in Å.
Element x y z (fractional)
Kr 0.0000 0.0000 0.0000  12 Kr 4.52-4.53
Kr 0.7778 0.7778 0.7778  12 Kr 4.52-4.53
Kr 0.2222 0.2222 0.2222  12 Kr 4.52-4.53

=====

8.
Compound: CaMg6V
Source: Materials Project
Functional: PBE
Structure: optimized geometry

Values from the calculation:
VASP energy   -2.395 eV/atom
Volume   381.3 Å³/cell

abc: 5.2239 6.5230 11.1908
angles: 90.00 90.00 90.00
Last column: nearest neighbours and their distance in Å.
Element x y z (fractional)
Ca 0.5000 0.5000 0.3346  10 Mg 3.22-3.26, 2 V 3.26
Ca 0.5000 0.0000 0.8346  10 Mg 3.22-3.26, 2 V 3.26
Mg 0.5000 0.7481 0.0823  8 Mg 3.20-3.29, 2 V 3.21-3.27, 2 Ca 3.22-3.25
Mg 0.5000 0.2519 0.0823  8 Mg 3.20-3.29, 2 V 3.21-3.27, 2 Ca 3.22-3.25
Mg 0.0000 0.7347 0.9151  7 Mg 3.06-3.37, 2 V 3.16, 2 Ca 3.26
Mg 0.0000 0.2653 0.9151  7 Mg 3.06-3.37, 2 V 3.16, 2 Ca 3.26
Mg 0.0000 0.5000 0.1627  10 Mg 3.17-3.31, 2 Ca 3.24
Mg 0.0000 0.5000 0.6732  10 Mg 3.11-3.37, 2 V 3.18
Mg 0.5000 0.2481 0.5823  8 Mg 3.20-3.29, 2 V 3.21-3.27, 2 Ca 3.22-3.25
Mg 0.5000 0.7519 0.5823  8 Mg 3.20-3.29, 2 V 3.21-3.27, 2 Ca 3.22-3.25
Mg 0.0000 0.2347 0.4151  7 Mg 3.06-3.37, 2 V 3.16, 2 Ca 3.26
Mg 0.0000 0.7653 0.4151  7 Mg 3.06-3.37, 2 V 3.16, 2 Ca 3.26
Mg 0.0000 0.0000 0.6627  10 Mg 3.17-3.31, 2 Ca 3.24
Mg 0.0000 0.0000 0.1732  10 Mg 3.11-3.37, 2 V 3.18
V 0.5000 0.5000 0.8347  10 Mg 3.16-3.27, 2 Ca 3.26
V 0.5000 0.0000 0.3347  10 Mg 3.16-3.27, 2 Ca 3.26

=====

no.,formation energy (meV/atom)
1,-2252
2,-2500
3,-1565
4,-2560
5,-1347
6,-642
7,1
8,192